## RbV3Se2O12 (PBE+U)

Data for an optimized crystal structure of RbV3Se2O12.

Cell and atoms, written as POSCAR:
```
RbV3Se2O12
1.0
0.564 2.336 -6.754
-5.828 1.578 3.864
5.349 10.107 3.942
V O Rb Se
6 24 2 4
Cartesian
-3.860 3.966 2.802
2.773 8.262 1.341
-0.755 2.927 1.253
3.499 9.212 -2.079
-3.135 4.916 -0.618
0.393 10.252 -0.530
0.531 4.369 1.524
-1.052 9.984 0.994
1.549 9.390 1.002
-1.867 3.396 2.449
-2.922 5.024 -2.306
-1.654 4.273 -0.089
-3.844 4.867 1.362
4.039 9.502 2.158
-3.057 5.319 3.955
3.739 8.797 -0.449
0.367 2.583 -0.509
-4.062 3.134 -0.684
1.762 10.267 -1.536
-4.216 2.213 1.884
-2.021 1.646 0.359
2.236 7.543 2.791
-0.040 8.322 -0.888
2.156 7.755 -2.413
0.712 4.043 -4.722
4.342 10.971 -2.018
0.755 11.921 0.413
-2.754 6.787 -0.221
-1.397 8.524 5.207
2.001 6.835 0.156
-1.345 2.503 -3.051
-0.801 7.303 2.459
2.265 4.280 1.669
4.939 9.333 3.640
1.054 7.035 -1.283
1.597 11.836 4.227
```

## Properties
SG: P6_3, No. 173
Largest piezoelectric modulus in C/m2: 0.11
Energy of formation in meV per atom: -1984.0
Total moment in μB/f.u.: 0.000